1.
Crystalline Li2FeF4 at its relaxed geometry. Source: the Materials Project, functional PBE+U.

Calculated values
As for the calculated formation energy: -2854 meV per atom. Its total magnetization is 8.00 μB per cell. The space group is Cmcm, No. 63.

Unit cell a=5.0423 b=5.0423 c=9.8721 alpha=90.00 beta=90.00 gamma=146.54
Positions (direct):
F1 0.4637 0.5363 0.7500
Li1 0.6252 0.3748 0.4361
Li2 0.3748 0.6252 0.9361
Fe1 0.8794 0.1206 0.2500
F2 0.5363 0.4637 0.2500
Li3 0.6252 0.3748 0.0639
Fe2 0.1206 0.8794 0.7500
Li4 0.3748 0.6252 0.5639
F3 0.2789 0.7211 0.3817
F4 0.7211 0.2789 0.8817
F5 0.7211 0.2789 0.6183
F6 0.0000 0.0000 0.0000
F7 0.2789 0.7211 0.1183
F8 0.0000 0.0000 0.5000

***

2.
Crystalline Sr2TiMnO6 at its relaxed geometry. Source: the Materials Project, functional PBE+U.

Calculated values
As for the calculated formation energy: -3019 meV per atom. Its total magnetization is 0.00 μB per cell.

Unit cell a=6.7511 b=6.7511 c=11.6762 alpha=78.79 beta=78.79 gamma=109.12
Positions (direct):
O1 0.4382 0.6854 0.8764
Sr1 0.3750 0.3750 0.7500
O2 0.8750 0.3750 0.2500
Sr2 0.1250 0.1250 0.2500
Ti1 0.8750 0.3750 0.7500
Ti2 0.3750 0.8750 0.7500
O3 0.5646 0.8118 0.6236
O4 0.0618 0.8146 0.1236
O5 0.0000 0.0000 0.5000
O6 0.7500 0.7500 0.0000
O7 0.6854 0.4382 0.8764
Sr3 0.0000 0.5000 0.0000
O8 0.5000 0.5000 0.5000
O9 0.8146 0.0618 0.1236
O10 0.9382 0.1854 0.8764
Sr4 0.7500 0.2500 0.5000
O11 0.3118 0.0646 0.6236
O12 0.1882 0.4354 0.3764
O13 0.3750 0.8750 0.2500
Sr5 0.2500 0.7500 0.5000
O14 0.4354 0.1882 0.3764
O15 0.1854 0.9382 0.8764
Sr6 0.5000 0.0000 0.0000
O16 0.2500 0.2500 0.0000
Sr7 0.8750 0.8750 0.7500
Mn1 0.5000 0.5000 0.9999
O17 0.6882 0.9354 0.3764
O18 0.3146 0.5618 0.1236
O19 0.5618 0.3146 0.1236
Sr8 0.6250 0.6250 0.2500
Mn2 0.2500 0.2500 0.5001
Ti3 0.1250 0.6250 0.2500
O20 0.6250 0.1250 0.7500
O21 0.8118 0.5646 0.6236
O22 0.0646 0.3118 0.6236
Mn3 0.7500 0.7500 0.5001
O23 0.1250 0.6250 0.7500
O24 0.9354 0.6882 0.3764
Ti4 0.6250 0.1250 0.2500
Mn4 0.0000 0.0000 0.9999

***

3.
Crystalline Li12VCr3P4C4O28 at its relaxed geometry. Source: the Materials Project, functional PBE+U.

Calculated values
As for the calculated formation energy: -2394 meV per atom. Its total magnetization is 15.00 μB per cell. The space group is Pm, No. 6.

Unit cell a=6.4883 b=8.6001 c=10.0105 alpha=85.46 beta=90.00 gamma=90.00
Positions (direct):
O1 0.5000 0.9358 0.5237
Li1 0.2252 0.7251 0.3762
P1 0.0000 0.5868 0.1428
Cr1 0.0000 0.3347 0.8921
Li2 0.2768 0.2747 0.1243
O2 0.0000 0.1424 0.7550
V1 0.0000 0.3298 0.3963
O3 0.5000 0.1117 0.6798
O4 0.0000 0.5768 0.7964
O5 0.5000 0.4207 0.7027
O6 0.0000 0.5724 0.2994
O7 0.1870 0.6891 0.5864
P2 0.0000 0.5888 0.6409
Li3 0.7217 0.2740 0.6230
Cr2 0.5000 0.6641 0.1089
O8 0.5000 0.4214 0.2034
Li4 0.7232 0.2747 0.1243
O9 0.5000 0.9350 0.0238
O10 0.0000 0.4214 0.0942
O11 0.0000 0.8864 0.8221
Li5 0.5000 0.0942 0.3793
Li6 0.2246 0.7261 0.8765
O12 0.3130 0.3118 0.9137
O13 0.0000 0.1463 0.2544
O14 0.5000 0.5779 0.4060
O15 0.6870 0.3118 0.9137
Cr3 0.5000 0.6648 0.6073
Li7 0.2783 0.2740 0.6230
O16 0.0000 0.8899 0.3228
C1 0.5000 0.9689 0.1475
Li8 0.7754 0.7261 0.8765
P3 0.5000 0.4100 0.3593
O17 0.5000 0.8555 0.2426
C2 0.5000 0.9687 0.6471
O18 0.0000 0.0748 0.4727
O19 0.0000 0.4230 0.5914
P4 0.5000 0.4111 0.8583
O20 0.5000 0.8546 0.7420
C3 0.0000 0.0316 0.8517
Li9 0.0000 0.9083 0.1198
Li10 0.0000 0.9102 0.6206
O21 0.5000 0.5782 0.9055
C4 0.0000 0.0352 0.3505
O22 0.6843 0.3097 0.4150
O23 0.3157 0.3097 0.4150
O24 0.0000 0.0670 0.9745
Li11 0.5000 0.0924 0.8792
O25 0.8136 0.6879 0.0884
O26 0.8130 0.6891 0.5864
O27 0.5000 0.1122 0.1791
Li12 0.7748 0.7251 0.3762
O28 0.1864 0.6879 0.0884

***

4.
Crystalline Ca3CoRhO6 at its relaxed geometry. Source: the Materials Project, functional PBE+U.

Calculated values
As for the calculated formation energy: -2330 meV per atom. Its total magnetization is 8.00 μB per cell. The space group is R-3c, No. 167.

Unit cell a=6.4473 b=6.4473 c=6.4473 alpha=90.98 beta=90.98 gamma=90.98
Positions (direct):
Ca1 0.2500 0.8826 0.6174
Rh1 0.0000 0.0000 0.0000
O1 0.5991 0.7998 0.4646
O2 0.5354 0.4009 0.2002
O3 0.0991 0.9646 0.2998
O4 0.0354 0.7002 0.9009
O5 0.7002 0.9009 0.0354
Ca2 0.8826 0.6174 0.2500
O6 0.9646 0.2998 0.0991
Ca3 0.6174 0.2500 0.8826
O7 0.7998 0.4646 0.5991
Co1 0.2500 0.2500 0.2500
O8 0.4646 0.5991 0.7998
O9 0.4009 0.2002 0.5354
Co2 0.7500 0.7500 0.7500
Ca4 0.1174 0.3826 0.7500
O10 0.2998 0.0991 0.9646
O11 0.2002 0.5354 0.4009
Rh2 0.5000 0.5000 0.5000
Ca5 0.7500 0.1174 0.3826
O12 0.9009 0.0354 0.7002
Ca6 0.3826 0.7500 0.1174

***

5.
Crystalline Li9Mn2Co5O16 at its relaxed geometry. Source: the Materials Project, functional PBE+U.

Calculated values
As for the calculated formation energy: -1812 meV per atom. Its total magnetization is 12.06 μB per cell. The space group is P1, No. 1.

Unit cell a=5.8110 b=5.9298 c=10.0075 alpha=76.02 beta=73.45 gamma=60.90
Positions (direct):
Li1 0.2527 0.7478 0.7478
Li2 0.0034 0.4902 0.5046
O1 0.6476 0.1216 0.1296
Co1 0.7479 0.2542 0.2507
Li3 0.7445 0.7525 0.7506
O2 0.6157 0.6217 0.6110
O3 0.3484 0.3722 0.8755
O4 0.1688 0.5681 0.6305
O5 0.8907 0.8495 0.8904
Mn1 0.9988 0.0043 0.9967
O6 0.1473 0.1282 0.6307
O7 0.3401 0.9216 0.8698
O8 0.8650 0.8714 0.3728
O9 0.8446 0.3895 0.3698
Li4 0.2534 0.2475 0.2513
Li5 0.4962 0.5031 0.9988
Mn2 0.9983 0.5111 0.9953
Li6 0.0033 0.9987 0.5001
O10 0.8897 0.3935 0.8691
Co2 0.2514 0.2495 0.7498
Li7 0.4987 0.0052 0.9956
Co3 0.5010 0.4929 0.5028
Li8 0.7434 0.2699 0.7390
O11 0.1194 0.6139 0.1201
Co4 0.4996 0.9853 0.5075
Li9 0.2543 0.7357 0.2603
O12 0.0876 0.1648 0.1156
O13 0.6081 0.1117 0.6358
O14 0.4081 0.3581 0.3789
Co5 0.7472 0.7541 0.2535
O15 0.6446 0.6329 0.1207
O16 0.3802 0.8795 0.3755

***

6.
Crystalline Sr6Ca2Fe7CoO20 at its relaxed geometry. Source: the Materials Project, functional PBE+U.

Calculated values
As for the calculated formation energy: -2341 meV per atom. Its total magnetization is 136.24 μB per cell. The space group is P1, No. 1.

Unit cell a=11.0649 b=11.4611 c=17.4815 alpha=109.07 beta=108.60 gamma=89.89
Positions (direct):
Ca1 0.2966 0.5687 0.1047
O1 0.1861 0.7039 0.3591
Fe1 0.8502 0.4066 0.2430
O2 0.6856 0.2047 0.3564
Fe2 0.1036 0.5907 0.2458
O3 0.5824 0.0969 0.1350
Fe3 0.1080 0.5976 0.7553
Sr1 0.4455 0.2026 0.3861
Sr2 0.4526 0.7114 0.8958
O4 0.8828 0.6202 0.9924
Fe4 0.6096 0.0906 0.7529
O5 0.8355 0.2799 0.1394
O6 0.8851 0.3840 0.0146
O7 0.1977 0.7165 0.8632
O8 0.9374 0.4073 0.3564
Sr3 0.0583 0.2956 0.6105
Sr4 0.6953 0.4356 0.3875
O9 0.8344 0.2990 0.6404
Fe5 0.5032 0.9996 0.4988
O10 0.4417 0.4069 0.3578
Fe6 0.6023 0.0895 0.2440
O11 0.6278 0.6198 0.9931
O12 0.6850 0.4386 0.7503
O13 0.0780 0.5955 0.6411
O14 0.5823 0.0950 0.6408
O15 0.9429 0.9075 0.3600
Sr5 0.3062 0.5642 0.6104
O16 0.3737 0.1192 0.4909
O17 0.8794 0.1131 0.9930
Sr6 0.8079 0.5644 0.6115
Sr7 0.3065 0.0643 0.6100
Sr8 0.1953 0.4343 0.3883
O18 0.9260 0.0609 0.2400
O19 0.6234 0.6219 0.4907
O20 0.5810 0.5945 0.6384
Fe7 0.7543 0.7497 0.5006
O21 0.3331 0.7841 0.1378
O22 0.3812 0.3796 0.5064
Sr9 0.1955 0.4376 0.8940
Sr10 0.1951 0.9351 0.3875
Sr11 0.0581 0.7974 0.6116
O23 0.1854 0.4421 0.2480
Sr12 0.9441 0.7020 0.3866
O24 0.1856 0.4453 0.7529
Sr13 0.5581 0.7978 0.1078
Sr14 0.0565 0.2902 0.1096
O25 0.1740 0.9282 0.2407
Fe8 0.3594 0.4126 0.7534
O26 0.6876 0.9402 0.7524
Fe9 0.2541 0.7532 0.0020
O27 0.6729 0.4271 0.2391
Ca2 0.5525 0.2818 0.1037
O28 0.6321 0.3779 0.5074
Sr15 0.5550 0.2951 0.6092
O29 0.6988 0.7079 0.8585
O30 0.6941 0.2061 0.8637
O31 0.1327 0.8828 0.0121
O32 0.9420 0.3990 0.8597
O33 0.3741 0.6183 0.9926
O34 0.8738 0.6194 0.4908
O35 0.1946 0.2093 0.8637
Fe10 0.7540 0.2504 0.5000
O36 0.0910 0.6057 0.1404
Sr16 0.7006 0.9362 0.8959
O37 0.4373 0.9062 0.3567
Sr17 0.8073 0.0648 0.6104
O38 0.4356 0.0597 0.7518
Sr18 0.7020 0.4379 0.8940
Fe11 0.3500 0.9068 0.2433
O39 0.8947 0.8877 0.0182
O40 0.8437 0.7846 0.1448
O41 0.1227 0.6269 0.9908
Fe12 0.8583 0.9103 0.2471
Sr19 0.9488 0.2046 0.8941
O42 0.8305 0.7942 0.6378
Sr20 0.5558 0.7966 0.6102
Ca3 0.0470 0.7898 0.1039
O43 0.6311 0.8770 0.5063
Co1 0.5068 0.0027 0.0028
Fe13 0.2523 0.2485 0.4978
O44 0.3817 0.8793 0.5072
O45 0.3360 0.2822 0.1398
O46 0.1235 0.6219 0.4916
O47 0.3759 0.1171 0.9924
O48 0.3885 0.3839 0.0177
Ca4 0.2009 0.9359 0.8989
O49 0.3309 0.2964 0.6412
O50 0.5935 0.6017 0.1395
O51 0.3731 0.6198 0.4910
O52 0.0989 0.1010 0.1427
Fe14 0.6100 0.5915 0.7510
O53 0.1887 0.2000 0.3584
Fe15 0.1103 0.0894 0.7548
O54 0.6256 0.1237 0.9953
O55 0.0840 0.0931 0.6426
O56 0.3824 0.8888 0.0122
O57 0.1236 0.1223 0.4915
Sr21 0.6952 0.9338 0.3882
O58 0.1367 0.3825 0.0142
O59 0.8734 0.1195 0.4908
Fe16 0.6028 0.5836 0.2431
O60 0.4469 0.9115 0.8673
O61 0.6855 0.9426 0.2485
Ca5 0.8051 0.5716 0.1041
O62 0.8815 0.3798 0.5063
O63 0.6236 0.1220 0.4907
Fe17 0.3584 0.9113 0.7560
Sr22 0.9434 0.2034 0.3864
O64 0.9365 0.5713 0.7603
Fe18 0.2582 0.2501 0.0043
O65 0.1323 0.8772 0.5082
Fe19 0.7574 0.2523 0.0059
O66 0.3304 0.7957 0.6436
O67 0.9259 0.5564 0.2386
Fe20 0.8605 0.9066 0.7516
O68 0.4256 0.0562 0.2391
Sr23 0.4453 0.7024 0.3865
O69 0.6377 0.3803 0.0163
O70 0.4374 0.5630 0.7528
O71 0.1311 0.3778 0.5069
Fe21 0.0031 0.5003 0.4998
Fe22 0.8598 0.4143 0.7529
Sr24 0.4493 0.2049 0.8942
Ca6 0.7997 0.0604 0.1024
Fe23 0.3571 0.4085 0.2451
O72 0.1265 0.1144 0.9893
Fe24 0.2522 0.7492 0.4982
O73 0.8813 0.8791 0.5064
Fe25 0.5090 0.5031 0.0064
Fe26 0.0030 0.9989 0.4980
Co2 0.0064 0.5042 0.0041
Ca7 0.3014 0.0635 0.1026
O74 0.1859 0.9386 0.7602
O75 0.6359 0.8875 0.0144
Ca8 0.9458 0.7155 0.8979
O76 0.9362 0.0595 0.7521
O77 0.4450 0.4036 0.8625
Fe27 0.5041 0.5003 0.4998
Fe28 0.1036 0.0848 0.2448
O78 0.6876 0.6986 0.3558
O79 0.4252 0.5591 0.2385
O80 0.9460 0.8899 0.8567
Co3 0.7575 0.7516 0.0007
Co4 0.0083 0.0001 0.0040